1.
Computed, not measured: an optimized crystal structure of Mg14FeB at the PBE level of DFT.

Output
The value obtained for the formation energy is 21.19 kJ/mol of atoms. Its relative energy among the computed polymorphs is 0.0 kJ per mole of atoms. The symmetry is Amm2, No. 38. The raw total energy comes out at -2.13 eV per atom.

abc: 6.156 6.396 9.819
angles: 90.00 90.00 121.30
Fractional coordinates of all 16 atoms:
Mg 0.750 0.870 0.125
Mg 0.306 0.669 0.925
Mg 0.837 0.168 0.374
Fe 0.179 0.339 0.125
Mg 0.750 0.381 0.125
Mg 0.663 0.329 0.625
Mg 0.663 0.834 0.625
Mg 0.812 0.656 0.375
Mg 0.172 0.836 0.625
B 0.119 0.809 0.125
Mg 0.306 0.138 0.325
Mg 0.181 0.341 0.625
Mg 0.837 0.168 0.876
Mg 0.812 0.656 0.875
Mg 0.306 0.138 0.925
Mg 0.306 0.669 0.325

=====

2.
Computed, not measured: an optimized crystal structure of CaH2S2O8 at the PBE level of DFT.

Output
The value obtained for the formation energy is -199.44 kJ/mol of atoms. The symmetry is Pbca, No. 61. The raw total energy comes out at -6.00 eV per atom.

abc: 6.998 12.806 14.249
angles: 90.00 90.00 90.00
Fractional coordinates of all 104 atoms:
S 0.135 0.144 0.565
O 0.740 0.627 0.071
S 0.635 0.856 0.935
S 0.838 0.140 0.826
O 0.307 0.633 0.861
H 0.171 0.828 0.023
H 0.081 0.678 0.381
O 0.016 0.919 0.394
S 0.865 0.356 0.065
Ca 0.652 0.437 0.312
O 0.914 0.744 0.438
O 0.984 0.581 0.894
O 0.193 0.133 0.139
S 0.162 0.360 0.326
H 0.329 0.828 0.523
Ca 0.152 0.563 0.188
H 0.919 0.322 0.619
O 0.489 0.576 0.184
S 0.162 0.860 0.174
O 0.209 0.108 0.475
O 0.484 0.419 0.606
O 0.129 0.750 0.191
Ca 0.348 0.563 0.688
O 0.260 0.873 0.571
Ca 0.348 0.063 0.812
O 0.629 0.250 0.309
S 0.635 0.356 0.565
O 0.129 0.250 0.309
O 0.511 0.924 0.684
O 0.709 0.892 0.025
O 0.516 0.581 0.394
O 0.914 0.244 0.062
S 0.135 0.644 0.935
O 0.989 0.424 0.316
S 0.365 0.144 0.065
S 0.338 0.860 0.674
O 0.414 0.256 0.062
O 0.586 0.244 0.562
O 0.871 0.750 0.691
O 0.807 0.867 0.861
O 0.315 0.907 0.232
O 0.760 0.627 0.571
S 0.365 0.644 0.435
H 0.671 0.672 0.023
S 0.662 0.640 0.174
S 0.662 0.140 0.326
O 0.371 0.250 0.809
O 0.511 0.424 0.816
H 0.829 0.172 0.977
O 0.685 0.093 0.768
O 0.414 0.756 0.438
O 0.011 0.076 0.816
H 0.329 0.328 0.977
S 0.865 0.856 0.435
O 0.989 0.924 0.184
O 0.489 0.076 0.316
O 0.185 0.407 0.768
H 0.419 0.678 0.881
O 0.260 0.373 0.929
O 0.185 0.907 0.732
O 0.693 0.867 0.361
O 0.307 0.133 0.639
O 0.760 0.127 0.929
O 0.291 0.108 0.975
H 0.671 0.172 0.477
O 0.209 0.608 0.025
O 0.516 0.081 0.106
O 0.240 0.873 0.071
O 0.871 0.250 0.809
O 0.815 0.093 0.268
Ca 0.152 0.063 0.312
O 0.693 0.367 0.139
O 0.586 0.744 0.938
S 0.338 0.360 0.826
O 0.815 0.593 0.232
H 0.171 0.328 0.477
O 0.740 0.127 0.429
H 0.419 0.178 0.619
O 0.086 0.256 0.562
O 0.791 0.392 0.975
H 0.081 0.178 0.119
O 0.291 0.608 0.525
Ca 0.652 0.937 0.188
H 0.829 0.672 0.523
O 0.984 0.081 0.606
O 0.685 0.593 0.732
O 0.016 0.419 0.106
O 0.240 0.373 0.429
O 0.011 0.576 0.684
Ca 0.848 0.437 0.812
O 0.371 0.750 0.691
H 0.581 0.822 0.381
O 0.484 0.919 0.894
Ca 0.848 0.937 0.688
O 0.629 0.750 0.191
S 0.838 0.640 0.674
H 0.581 0.322 0.119
H 0.919 0.822 0.881
O 0.315 0.407 0.268
O 0.709 0.392 0.475
O 0.791 0.892 0.525
O 0.807 0.367 0.639
O 0.193 0.633 0.361
O 0.086 0.756 0.938

=====

3.
Computed, not measured: an optimized crystal structure of CaGdAlO4 at the PBE level of DFT.

Output
The value obtained for the formation energy is -344.67 kJ/mol of atoms. The symmetry is I4mm, No. 107. The raw total energy comes out at -8.84 eV per atom.

abc: 6.529 6.529 6.529
angles: 147.13 147.13 47.18
Fractional coordinates of all 7 atoms:
O 0.496 0.996 0.500
Gd 0.358 0.358 0.000
O 0.833 0.833 0.000
O 0.169 0.169 0.000
Al 0.006 0.006 0.000
O 0.996 0.496 0.500
Ca 0.643 0.643 0.000

=====

4.
Computed, not measured: an optimized crystal structure of SrLiAl3N4 at the PBE level of DFT.

Output
The value obtained for the formation energy is -127.27 kJ/mol of atoms. The symmetry is P-1, No. 2. The raw total energy comes out at -6.51 eV per atom.

abc: 5.885 7.531 9.998
angles: 83.58 76.82 79.55
Fractional coordinates of all 36 atoms:
Al 0.168 0.708 0.148
N 0.169 0.205 0.856
Li 0.467 0.326 0.113
N 0.849 0.069 0.408
N 0.151 0.931 0.592
Al 0.179 0.443 0.900
N 0.374 0.355 0.504
Sr 0.976 0.616 0.628
Li 0.791 0.820 0.356
Li 0.533 0.674 0.887
N 0.651 0.132 0.971
Al 0.531 0.438 0.625
N 0.386 0.084 0.280
N 0.198 0.709 0.333
Sr 0.998 0.865 0.874
Sr 0.024 0.384 0.372
Al 0.832 0.292 0.852
Al 0.469 0.562 0.375
N 0.349 0.868 0.029
Al 0.448 0.046 0.877
Al 0.176 0.941 0.398
N 0.341 0.590 0.761
Al 0.821 0.557 0.100
Sr 0.002 0.135 0.126
N 0.659 0.410 0.239
Al 0.552 0.954 0.123
N 0.614 0.916 0.720
Li 0.209 0.180 0.644
N 0.838 0.523 0.912
N 0.802 0.291 0.667
Al 0.564 0.204 0.367
Al 0.824 0.059 0.602
N 0.162 0.477 0.088
N 0.831 0.795 0.144
N 0.626 0.645 0.496
Al 0.436 0.796 0.633

=====

5.
Computed, not measured: an optimized crystal structure of ScP at the PBE level of DFT.

Output
The value obtained for the formation energy is -92.59 kJ/mol of atoms. The symmetry is F-43m, No. 216. The raw total energy comes out at -6.83 eV per atom.

abc: 4.196 4.196 4.196
angles: 60.00 60.00 60.00
Fractional coordinates of all 2 atoms:
P 0.250 0.250 0.250
Sc 0.000 0.000 0.000

=====

6.
Computed, not measured: an optimized crystal structure of Cs3Cr20Se32 at the PBE level of DFT.

Output
The value obtained for the formation energy is -87.29 kJ/mol of atoms. The symmetry is P-1, No. 2. The raw total energy comes out at -6.22 eV per atom.

abc: 11.037 11.665 11.807
angles: 111.16 81.53 117.33
Fractional coordinates of all 55 atoms:
Se 0.405 0.383 0.725
Se 0.517 0.866 0.521
Cr 0.705 0.889 0.371
Cs 0.000 0.500 0.500
Se 0.597 0.752 0.741
Se 0.767 0.116 0.771
Se 0.346 0.502 0.491
Se 0.982 0.633 0.980
Cr 0.791 0.610 0.128
Se 0.846 0.000 0.989
Se 0.680 0.358 0.023
Cr 0.839 0.929 0.763
Cr 0.089 0.178 0.012
Cr 0.956 0.139 0.622
Se 0.346 0.366 0.024
Se 0.154 0.133 0.476
Se 0.566 0.890 0.224
Se 0.403 0.248 0.259
Cr 0.209 0.390 0.872
Cr 0.590 0.680 0.514
Se 0.233 0.884 0.229
Cr 0.044 0.861 0.378
Cr 0.661 0.571 0.737
Se 0.069 0.392 0.727
Cr 0.375 0.875 0.374
Se 0.817 0.141 0.475
Cs 0.731 0.231 0.229
Se 0.434 0.110 0.776
Se 0.183 0.859 0.525
Cr 0.911 0.822 0.988
Cr 0.543 0.361 0.877
Cr 0.126 0.626 0.125
Se 0.931 0.608 0.273
Se 0.654 0.498 0.509
Se 0.846 0.867 0.524
Se 0.595 0.617 0.275
Cr 0.874 0.374 0.875
Cs 0.269 0.769 0.771
Se 0.267 0.617 0.271
Cr 0.625 0.125 0.626
Cr 0.295 0.111 0.629
Se 0.096 0.252 0.240
Se 0.320 0.642 0.977
Se 0.654 0.634 0.976
Cr 0.161 0.071 0.237
Se 0.154 0.000 0.011
Cr 0.410 0.320 0.486
Se 0.904 0.748 0.760
Cr 0.339 0.429 0.263
Se 0.018 0.367 0.020
Cr 0.457 0.639 0.123
Se 0.733 0.383 0.729
Se 0.096 0.116 0.773
Se 0.483 0.134 0.479
Se 0.904 0.884 0.227

=====

7.
Computed, not measured: an optimized crystal structure of Rb2InCuBr6 at the PBE level of DFT.

Output
The value obtained for the formation energy is -135.04 kJ/mol of atoms. The symmetry is Fm-3m, No. 225. The raw total energy comes out at -2.94 eV per atom.

abc: 7.659 7.659 7.659
angles: 60.00 60.00 60.00
Fractional coordinates of all 10 atoms:
Rb 0.250 0.250 0.250
Rb 0.750 0.750 0.750
Br 0.746 0.746 0.254
Br 0.254 0.746 0.254
Br 0.254 0.254 0.746
In 0.000 0.000 0.000
Br 0.746 0.254 0.254
Cu 0.500 0.500 0.500
Br 0.254 0.746 0.746
Br 0.746 0.254 0.746

=====

8.
Computed, not measured: an optimized crystal structure of NdAsO4 at the PBE level of DFT.

Output
The value obtained for the formation energy is -268.27 kJ/mol of atoms. Its relative energy among the computed polymorphs is 2.1 kJ per mole of atoms. The symmetry is P2_1/c, No. 14. The raw total energy comes out at -7.19 eV per atom.

abc: 7.199 6.772 8.382
angles: 53.81 90.00 90.00
Fractional coordinates of all 24 atoms:
O 0.287 0.391 0.884
O 0.844 0.105 0.393
O 0.496 0.171 0.252
O 0.996 0.829 0.248
O 0.394 0.650 0.518
O 0.606 0.350 0.482
Nd 0.849 0.813 0.782
O 0.004 0.171 0.752
Nd 0.349 0.187 0.718
Nd 0.651 0.813 0.282
Nd 0.151 0.187 0.218
O 0.156 0.895 0.607
As 0.838 0.310 0.803
As 0.662 0.310 0.303
O 0.656 0.105 0.893
O 0.713 0.609 0.116
O 0.106 0.650 0.018
As 0.338 0.690 0.697
O 0.787 0.609 0.616
As 0.162 0.690 0.197
O 0.344 0.895 0.107
O 0.894 0.350 0.982
O 0.213 0.391 0.384
O 0.504 0.829 0.748

=====

Q: What is the formula in the eighth record?
A: NdAsO4

=====

What did the sixth record say?
Computed, not measured: an optimized crystal structure of Cs3Cr20Se32 at the PBE level of DFT.

Output
The value obtained for the formation energy is -87.29 kJ/mol of atoms. The symmetry is P-1, No. 2. The raw total energy comes out at -6.22 eV per atom.

abc: 11.037 11.665 11.807
angles: 111.16 81.53 117.33
Fractional coordinates of all 55 atoms:
Se 0.405 0.383 0.725
Se 0.517 0.866 0.521
Cr 0.705 0.889 0.371
Cs 0.000 0.500 0.500
Se 0.597 0.752 0.741
Se 0.767 0.116 0.771
Se 0.346 0.502 0.491
Se 0.982 0.633 0.980
Cr 0.791 0.610 0.128
Se 0.846 0.000 0.989
Se 0.680 0.358 0.023
Cr 0.839 0.929 0.763
Cr 0.089 0.178 0.012
Cr 0.956 0.139 0.622
Se 0.346 0.366 0.024
Se 0.154 0.133 0.476
Se 0.566 0.890 0.224
Se 0.403 0.248 0.259
Cr 0.209 0.390 0.872
Cr 0.590 0.680 0.514
Se 0.233 0.884 0.229
Cr 0.044 0.861 0.378
Cr 0.661 0.571 0.737
Se 0.069 0.392 0.727
Cr 0.375 0.875 0.374
Se 0.817 0.141 0.475
Cs 0.731 0.231 0.229
Se 0.434 0.110 0.776
Se 0.183 0.859 0.525
Cr 0.911 0.822 0.988
Cr 0.543 0.361 0.877
Cr 0.126 0.626 0.125
Se 0.931 0.608 0.273
Se 0.654 0.498 0.509
Se 0.846 0.867 0.524
Se 0.595 0.617 0.275
Cr 0.874 0.374 0.875
Cs 0.269 0.769 0.771
Se 0.267 0.617 0.271
Cr 0.625 0.125 0.626
Cr 0.295 0.111 0.629
Se 0.096 0.252 0.240
Se 0.320 0.642 0.977
Se 0.654 0.634 0.976
Cr 0.161 0.071 0.237
Se 0.154 0.000 0.011
Cr 0.410 0.320 0.486
Se 0.904 0.748 0.760
Cr 0.339 0.429 0.263
Se 0.018 0.367 0.020
Cr 0.457 0.639 0.123
Se 0.733 0.383 0.729
Se 0.096 0.116 0.773
Se 0.483 0.134 0.479
Se 0.904 0.884 0.227